No. 1
DyEr3, relaxed, DFT GGA-PBE; calculated density = 8810 kg/m³; VASP energy = -4.567 eV/atom; volume = 250.4 Å³ per cell
1.0
7.1774 0.0000 0.0000
-3.5887 6.2158 0.0000
0.0000 0.0000 5.6126
Dy Er
2 6
Direct
0.3333 0.6667 0.2500 Dy
0.6667 0.3333 0.7500 Dy
0.1662 0.3325 0.7500 Er
0.1662 0.8338 0.7500 Er
0.3325 0.1662 0.2500 Er
0.6675 0.8338 0.7500 Er
0.8338 0.1662 0.2500 Er
0.8338 0.6675 0.2500 Er

---

No. 2
DyErTl2, relaxed, DFT GGA-PBE; calculated density = 11212 kg/m³; VASP energy = -3.800 eV/atom; volume = 109.4 Å³ per cell
1.0
0.0000 3.7957 3.7957
3.7957 0.0000 3.7957
3.7957 3.7957 0.0000
Dy Er Tl
1 1 2
Direct
0.0000 0.0000 0.0000 Dy
0.5000 0.5000 0.5000 Er
0.2500 0.2500 0.2500 Tl
0.7500 0.7500 0.7500 Tl

---

No. 3
DyErZn2, relaxed, DFT GGA-PBE; calculated density = 8486 kg/m³; VASP energy = -3.274 eV/atom; volume = 90.1 Å³ per cell
1.0
0.0000 3.5585 3.5585
3.5585 0.0000 3.5585
3.5585 3.5585 0.0000
Dy Er Zn
1 1 2
Direct
0.0000 0.0000 0.0000 Dy
0.5000 0.5000 0.5000 Er
0.2500 0.2500 0.2500 Zn
0.7500 0.7500 0.7500 Zn

---

No. 4
Eu3Dy, relaxed, DFT GGA-PBE; calculated density = 6547 kg/m³; VASP energy = -8.763 eV/atom; volume = 313.7 Å³ per cell
1.0
7.6433 0.0000 0.0000
-3.8216 6.6193 0.0000
0.0000 0.0000 6.2002
Eu Dy
6 2
Direct
0.1696 0.3392 0.2500 Eu
0.1696 0.8304 0.2500 Eu
0.3392 0.1696 0.7500 Eu
0.6608 0.8304 0.2500 Eu
0.8304 0.1696 0.7500 Eu
0.8304 0.6608 0.7500 Eu
0.3333 0.6667 0.7500 Dy
0.6667 0.3333 0.2500 Dy

---

No. 5
KEuDySeO6, relaxed, DFT GGA-PBE; calculated density = 6536 kg/m³; volume = 134.3 Å³ per cell; total energy after the MP2020 corrections = -73.55 eV for the cell shown
1.0
0.0000 4.0643 4.0643
4.0643 0.0000 4.0643
4.0643 4.0643 0.0000
K Eu Dy Se O
1 1 1 1 6
Direct
0.0000 0.0000 0.0000 K
0.5000 0.5000 0.5000 Eu
0.2500 0.2500 0.2500 Dy
0.7500 0.7500 0.7500 Se
0.5231 0.5231 0.9769 O
0.5231 0.9769 0.5231 O
0.5231 0.9769 0.9769 O
0.9769 0.5231 0.5231 O
0.9769 0.5231 0.9769 O
0.9769 0.9769 0.5231 O

---

No. 6
NaEuDySbO6, relaxed, DFT GGA-PBE; calculated density = 6354 kg/m³; volume = 145.1 Å³ per cell; total energy after the MP2020 corrections = -76.67 eV for the cell shown
1.0
0.0000 4.1706 4.1706
4.1706 0.0000 4.1706
4.1706 4.1706 0.0000
Na Eu Dy Sb O
1 1 1 1 6
Direct
0.0000 0.0000 0.0000 Na
0.5000 0.5000 0.5000 Eu
0.2500 0.2500 0.2500 Dy
0.7500 0.7500 0.7500 Sb
0.5127 0.5127 0.9873 O
0.5127 0.9873 0.5127 O
0.5127 0.9873 0.9873 O
0.9873 0.5127 0.5127 O
0.9873 0.5127 0.9873 O
0.9873 0.9873 0.5127 O